The following is a r2SCAN calculation of an optimized crystal structure of Mo2P3O12, from Materials Project.

Size of the total moment: 3.00 μB per formula unit
Calculated total energy: -11.135 eV/atom

Geometry as POSCAR:
```
Mo2P3O12
1.0
8.655 0.000 0.000
4.327 7.499 0.000
0.001 4.997 7.306
Mo P O
4 6 24
Cartesian
0.000 0.000 0.000 Mo
4.314 7.494 4.741 Mo
8.650 9.986 3.663 Mo
8.653 5.013 1.099 Mo
3.098 5.366 2.384 P
6.186 9.996 6.027 P
6.785 7.490 2.375 P
5.563 4.625 6.037 P
7.428 2.139 2.373 P
9.879 7.867 6.020 P
2.738 7.778 5.878 O
3.683 6.071 1.153 O
3.258 6.224 3.625 O
5.255 11.194 6.174 O
5.958 7.678 1.118 O
3.787 4.026 2.511 O
5.353 8.736 5.888 O
7.047 10.240 4.791 O
5.898 7.257 3.586 O
7.628 8.751 2.561 O
4.922 5.995 5.802 O
7.059 9.844 7.276 O
7.697 6.276 2.240 O
5.294 3.715 4.840 O
9.290 11.551 7.305 O
5.920 2.258 2.559 O
9.226 8.427 4.776 O
7.067 4.792 6.153 O
8.030 3.523 2.256 O
7.676 1.309 1.121 O
9.583 8.726 7.241 O
9.312 6.459 6.233 O
10.254 5.150 2.176 O
12.385 8.965 3.602 O
```

---

The following is a r2SCAN calculation of an optimized crystal structure of Zr2V3Ge4, from Materials Project.

Size of the total moment: 0.87 μB per formula unit
Calculated total energy: -16.591 eV/atom

Geometry as POSCAR:
```
Zr2V3Ge4
1.0
6.648 0.000 0.000
0.000 12.758 0.000
0.000 0.000 6.764
Zr V Ge
8 12 16
Cartesian
0.065 1.195 1.170 Zr
0.065 5.184 1.170 Zr
3.259 7.574 4.552 Zr
3.259 11.563 4.552 Zr
3.389 1.195 2.212 Zr
3.389 5.184 2.212 Zr
6.583 7.574 5.594 Zr
6.583 11.563 5.594 Zr
1.064 7.975 2.272 V
1.064 11.162 2.272 V
1.093 3.189 3.447 V
2.231 9.568 0.065 V
2.260 1.596 5.654 V
2.260 4.783 5.654 V
4.387 7.975 1.110 V
4.387 11.162 1.110 V
4.417 3.189 6.699 V
5.555 9.568 3.317 V
5.584 1.596 4.492 V
5.584 4.783 4.492 V
0.233 3.189 5.909 Ge
1.181 0.539 3.687 Ge
1.181 5.840 3.687 Ge
1.277 9.568 4.332 Ge
2.047 3.189 0.950 Ge
2.143 6.918 0.305 Ge
2.143 12.219 0.305 Ge
3.091 9.568 2.527 Ge
3.557 3.189 4.237 Ge
4.505 0.539 6.458 Ge
4.505 5.840 6.458 Ge
4.601 9.568 5.813 Ge
5.371 3.189 2.432 Ge
5.467 6.918 3.077 Ge
5.467 12.219 3.077 Ge
6.415 9.568 0.855 Ge
```

---

The following is a r2SCAN calculation of an optimized crystal structure of Ca3B2N4, from Materials Project.

Size of the total moment: 0.00 μB per formula unit
Calculated total energy: -9.420 eV/atom

Geometry as POSCAR:
```
Ca3B2N4
1.0
5.111 -3.661 0.000
5.111 3.661 0.000
0.000 0.000 20.956
Ca B N
18 12 24
Cartesian
0.000 0.000 0.000 Ca
5.111 3.433 15.808 Ca
2.519 0.160 7.902 Ca
2.592 0.160 2.576 Ca
5.111 1.906 2.529 Ca
5.111 1.755 13.006 Ca
2.519 -0.160 13.054 Ca
2.592 -0.160 18.380 Ca
5.111 0.228 5.330 Ca
5.111 0.000 10.478 Ca
5.111 -0.228 15.626 Ca
7.629 0.160 2.576 Ca
7.703 0.160 7.902 Ca
5.111 -1.755 7.949 Ca
5.111 -1.906 18.427 Ca
7.629 -0.160 18.380 Ca
7.703 -0.160 13.054 Ca
5.111 -3.433 5.148 Ca
2.555 1.830 0.000 B
2.555 1.830 10.478 B
2.555 1.594 15.717 B
5.111 1.970 7.751 B
5.111 1.691 18.229 B
2.555 -1.594 5.239 B
2.555 -1.830 0.000 B
2.555 -1.830 10.478 B
7.666 1.594 15.717 B
5.111 -1.691 2.726 B
5.111 -1.970 13.204 B
7.666 -1.594 5.239 B
3.284 2.124 1.080 N
5.111 3.273 7.480 N
3.489 2.066 4.285 N
5.111 3.018 18.405 N
3.284 1.537 11.557 N
3.489 1.595 14.763 N
6.732 2.066 4.285 N
6.937 2.124 1.080 N
5.111 0.643 7.928 N
6.732 1.595 14.763 N
5.111 0.388 17.957 N
6.937 1.537 11.557 N
3.284 -1.537 9.398 N
5.111 -0.388 2.998 N
3.489 -1.595 6.192 N
5.111 -0.643 13.028 N
3.284 -2.124 19.876 N
3.489 -2.066 16.670 N
6.732 -1.595 6.192 N
6.937 -1.537 9.398 N
5.111 -3.018 2.550 N
6.732 -2.066 16.670 N
5.111 -3.273 13.476 N
6.937 -2.124 19.876 N
```

---

The following is a r2SCAN calculation of an optimized crystal structure of YbAgHg2, from Materials Project.

Size of the total moment: 0.00 μB per formula unit
Calculated total energy: -39.502 eV/atom

Geometry as POSCAR:
```
YbAgHg2
1.0
6.963 0.000 0.000
0.000 6.963 0.000
0.000 0.000 6.963
Yb Ag Hg
4 4 8
Cartesian
0.000 0.000 0.000 Yb
0.000 3.482 3.482 Yb
3.482 0.000 3.482 Yb
3.482 3.482 0.000 Yb
0.000 0.000 3.482 Ag
0.000 3.482 0.000 Ag
3.482 0.000 0.000 Ag
3.482 3.482 3.482 Ag
1.741 1.741 1.741 Hg
1.741 1.741 5.222 Hg
1.741 5.222 1.741 Hg
1.741 5.222 5.222 Hg
5.222 1.741 1.741 Hg
5.222 1.741 5.222 Hg
5.222 5.222 1.741 Hg
5.222 5.222 5.222 Hg
```

---

The following is a r2SCAN calculation of an optimized crystal structure of SmNi2Sb2, from Materials Project.

Size of the total moment: 0.00 μB per formula unit
Calculated total energy: -21.675 eV/atom

Geometry as POSCAR:
```
SmNi2Sb2
1.0
4.438 0.000 0.000
0.000 4.438 0.000
0.000 0.000 9.897
Sm Ni Sb
2 4 4
Cartesian
1.109 1.109 2.347 Sm
3.328 3.328 7.550 Sm
1.109 1.109 6.170 Ni
1.109 3.328 0.000 Ni
3.328 1.109 0.000 Ni
3.328 3.328 3.727 Ni
1.109 1.109 8.654 Sb
1.109 3.328 4.948 Sb
3.328 1.109 4.948 Sb
3.328 3.328 1.243 Sb
```

---

The following is a r2SCAN calculation of an optimized crystal structure of LuGa2Ni3, from Materials Project.

Size of the total moment: 0.00 μB per formula unit
Calculated total energy: -16.729 eV/atom

Geometry as POSCAR:
```
LuGa2Ni3
1.0
8.622 0.000 0.000
-4.311 7.467 0.000
0.000 0.000 4.009
Lu Ga Ni
3 6 9
Cartesian
0.000 0.000 0.000 Lu
0.000 4.978 2.004 Lu
4.311 2.489 2.004 Lu
-1.163 2.014 2.004 Ga
-2.238 3.876 0.000 Ga
2.325 0.000 2.004 Ga
2.073 3.591 0.000 Ga
4.475 0.000 0.000 Ga
3.148 5.453 2.004 Ga
-3.045 5.274 2.004 Ni
-0.110 2.788 0.000 Ni
-1.841 6.168 0.000 Ni
1.266 2.192 2.004 Ni
2.470 1.299 0.000 Ni
1.951 5.977 0.000 Ni
6.090 0.000 2.004 Ni
4.201 4.678 0.000 Ni
6.262 1.490 0.000 Ni
```

---

The following is a r2SCAN calculation of an optimized crystal structure of WBr4, from Materials Project.

Size of the total moment: 1.00 μB per formula unit
Calculated total energy: -21.439 eV/atom

Geometry as POSCAR:
```
WBr4
1.0
6.319 -3.463 0.000
6.319 3.463 0.000
-5.697 0.000 6.630
W Br
2 8
Cartesian
6.319 2.030 0.000 W
6.319 -2.030 0.000 W
1.667 0.000 1.192 Br
2.039 1.784 4.635 Br
4.902 1.784 1.995 Br
-0.789 0.000 5.619 Br
7.730 0.000 1.011 Br
2.039 -1.784 4.635 Br
4.902 -1.784 1.995 Br
5.274 0.000 5.438 Br
```

---

The following is a r2SCAN calculation of an optimized crystal structure of K5NaS4Cl2O12, from Materials Project.

Size of the total moment: 0.00 μB per formula unit
Calculated total energy: -8.088 eV/atom

Geometry as POSCAR:
```
K5NaS4Cl2O12
1.0
8.476 0.000 0.000
0.000 8.476 0.000
0.000 0.000 11.549
K Na S Cl O
10 2 8 4 24
Cartesian
0.000 0.000 0.000 K
1.558 2.680 2.887 K
1.558 2.680 8.662 K
2.680 6.918 2.887 K
2.680 6.918 8.662 K
4.238 4.238 5.774 K
5.796 1.558 2.887 K
5.796 1.558 8.662 K
6.918 5.796 2.887 K
6.918 5.796 8.662 K
0.000 0.000 5.774 Na
4.238 4.238 0.000 Na
0.608 5.120 5.774 S
0.882 4.846 0.000 S
3.356 0.608 5.774 S
3.630 0.882 0.000 S
4.846 7.594 0.000 S
5.120 7.868 5.774 S
7.594 3.630 0.000 S
7.868 3.356 5.774 S
0.000 0.000 3.059 Cl
0.000 0.000 8.490 Cl
4.238 4.238 2.716 Cl
4.238 4.238 8.833 Cl
0.374 2.285 5.774 O
0.782 5.637 1.219 O
0.782 5.637 10.330 O
1.399 5.020 4.556 O
1.399 5.020 6.993 O
1.953 3.864 0.000 O
2.285 8.102 5.774 O
2.839 0.782 1.219 O
2.839 0.782 10.330 O
3.456 1.399 4.556 O
3.456 1.399 6.993 O
3.864 6.523 0.000 O
4.612 1.953 0.000 O
5.020 7.077 4.556 O
5.020 7.077 6.993 O
5.637 7.694 1.219 O
5.637 7.694 10.330 O
6.191 0.374 5.774 O
6.523 4.612 0.000 O
7.077 3.456 4.556 O
7.077 3.456 6.993 O
7.694 2.839 1.219 O
7.694 2.839 10.330 O
8.102 6.191 5.774 O
```